1.
The following is a PBE calculation of a relaxed structure of NaLi2Al3Si3O12, from the Materials Project database.

## Properties
ΔE_f in meV per atom: -3077
Total energy in eV per atom: -7.07
Total magnetization in μB/cell: 0.00

a b c (Å): 12.2789 12.2788 11.7508
angles (deg): 90.00 90.00 90.00
With the nearest neighbours (Å) after each atom.
Fractional coordinates of all 84 atoms:
Na  0.0000  0.3672  0.5008  3 O 2.20-2.35
Na  0.0000  0.6328  0.5008  3 O 2.20-2.35
Na  0.3672  0.0000  0.5008  3 O 2.20-2.35
Na  0.6328  0.0000  0.5008  3 O 2.20-2.35
Li  0.1926  0.1926  0.1825  3 O 1.96-2.09
Li  0.1926  0.8074  0.1825  3 O 1.96-2.09
Li  0.8074  0.1926  0.1825  3 O 1.96-2.09
Li  0.8074  0.8074  0.1825  3 O 1.96-2.09
Li  0.1915  0.1915  0.8173  3 O 1.86-1.95
Li  0.1915  0.8085  0.8173  3 O 1.86-1.95
Li  0.8085  0.1915  0.8173  3 O 1.86-1.95
Li  0.8085  0.8085  0.8173  3 O 1.86-1.95
Al  0.0000  0.3659  0.1841  4 O 1.69-1.79
Al  0.0000  0.6341  0.1841  4 O 1.69-1.79
Al  0.3659  0.0000  0.1841  4 O 1.69-1.79
Al  0.6341  0.0000  0.1841  4 O 1.69-1.79
Al  0.1793  0.0000  0.6516  4 O 1.74-1.79
Al  0.0000  0.1793  0.6516  4 O 1.74-1.79
Al  0.0000  0.8207  0.6516  4 O 1.74-1.79
Al  0.8207  0.0000  0.6516  4 O 1.74-1.79
Al  0.0000  0.6347  0.8224  4 O 1.67-1.82
Al  0.6347  0.0000  0.8224  4 O 1.67-1.82
Al  0.0000  0.3653  0.8224  4 O 1.67-1.82
Al  0.3653  0.0000  0.8224  4 O 1.67-1.82
Si  0.3663  0.1878  0.0016  4 O 1.64-1.66
Si  0.6337  0.1878  0.0016  4 O 1.64-1.66
Si  0.3663  0.8122  0.0016  4 O 1.64-1.66
Si  0.8122  0.3663  0.0016  4 O 1.64-1.66
Si  0.8122  0.6337  0.0016  4 O 1.64-1.66
Si  0.1722  0.0000  0.3642  4 O 1.59-1.67
Si  0.0000  0.8278  0.3642  4 O 1.59-1.67
Si  0.8278  0.0000  0.3642  4 O 1.59-1.67
Si  0.0000  0.1722  0.3642  4 O 1.59-1.67
Si  0.1878  0.3663  0.0016  4 O 1.64-1.66
Si  0.1878  0.6337  0.0016  4 O 1.64-1.66
Si  0.6337  0.8122  0.0016  4 O 1.64-1.66
O  0.3106  0.3106  0.0046  2 Si 1.66
O  0.5000  0.1996  0.0052  2 Si 1.65
O  0.3106  0.6894  0.0046  2 Si 1.66
O  0.6894  0.3106  0.0046  2 Si 1.66
O  0.8004  0.5000  0.0052  2 Si 1.65
O  0.1235  0.3217  0.1169  1 Si 1.66, 1 Al 1.79
O  0.3217  0.1235  0.1169  1 Si 1.66, 1 Al 1.79
O  0.3217  0.8765  0.1169  1 Si 1.66, 1 Al 1.79
O  0.8765  0.3217  0.1169  1 Si 1.66, 1 Al 1.79
O  0.1235  0.6783  0.1169  1 Si 1.66, 1 Al 1.79
O  0.6783  0.1235  0.1169  1 Si 1.66, 1 Al 1.79
O  0.6783  0.8765  0.1169  1 Si 1.66, 1 Al 1.79
O  0.8765  0.6783  0.1169  1 Si 1.66, 1 Al 1.79
O  0.0000  0.5000  0.2184  2 Al 1.69
O  0.5000  0.0000  0.2184  2 Al 1.69
O  0.0000  0.2949  0.3155  1 Si 1.61, 1 Al 1.77
O  0.2949  0.0000  0.3155  1 Si 1.61, 1 Al 1.77
O  0.7051  0.0000  0.3155  1 Si 1.61, 1 Al 1.77
O  0.0000  0.7051  0.3155  1 Si 1.61, 1 Al 1.77
O  0.1093  0.1093  0.3106  2 Si 1.67
O  0.1093  0.8907  0.3106  2 Si 1.67
O  0.8907  0.1093  0.3106  2 Si 1.67
O  0.8907  0.8907  0.3106  2 Si 1.67
O  0.0000  0.1773  0.4992  1 Si 1.59
O  0.1773  0.0000  0.4992  1 Si 1.59
O  0.8227  0.0000  0.4992  1 Si 1.59
O  0.0000  0.8227  0.4992  1 Si 1.59
O  0.1192  0.1192  0.7010  2 Al 1.74, 1 Li 1.86
O  0.1192  0.8808  0.7010  2 Al 1.74, 1 Li 1.86
O  0.8808  0.1192  0.7010  2 Al 1.74, 1 Li 1.86
O  0.8808  0.8808  0.7010  2 Al 1.74, 1 Li 1.86
O  0.0000  0.3193  0.6815  2 Al 1.75
O  0.3193  0.0000  0.6815  2 Al 1.75
O  0.6807  0.0000  0.6815  2 Al 1.75
O  0.0000  0.6807  0.6815  2 Al 1.75
O  0.5000  0.0000  0.8435  2 Al 1.67
O  0.0000  0.5000  0.8435  2 Al 1.67
O  0.1238  0.3167  0.8908  1 Si 1.64, 1 Al 1.82
O  0.1238  0.6833  0.8908  1 Si 1.64, 1 Al 1.82
O  0.3167  0.1238  0.8908  1 Si 1.64, 1 Al 1.82
O  0.3167  0.8762  0.8908  1 Si 1.64, 1 Al 1.82
O  0.6833  0.1238  0.8908  1 Si 1.64, 1 Al 1.82
O  0.6833  0.8762  0.8908  1 Si 1.64, 1 Al 1.82
O  0.8762  0.3167  0.8908  1 Si 1.64, 1 Al 1.82
O  0.8762  0.6833  0.8908  1 Si 1.64, 1 Al 1.82
O  0.1996  0.5000  0.0052  2 Si 1.65
O  0.5000  0.8004  0.0052  2 Si 1.65
O  0.6894  0.6894  0.0046  2 Si 1.66

---

2.
The following is a PBE calculation of a relaxed structure of Ca2TaInO6, from the Materials Project database.

## Properties
ΔE_f in meV per atom: -3114
Total energy in eV per atom: -7.53
Total magnetization in μB/cell: 0.00

a b c (Å): 5.7758 5.5742 9.7576
angles (deg): 55.19 90.00 90.00
With the nearest neighbours (Å) after each atom.
Fractional coordinates of all 20 atoms:
Ca  0.4447  0.2356  0.7500  4 O 2.34-2.44
Ca  0.5553  0.7644  0.2500  4 O 2.34-2.44
Ca  0.9447  0.7644  0.7500  4 O 2.34-2.44
Ca  0.0553  0.2356  0.2500  4 O 2.34-2.44
Ta  0.0000  0.5000  0.5000  6 O 2.00-2.01
Ta  0.5000  0.5000  0.0000  6 O 2.00-2.01
In  0.0000  0.0000  0.0000  6 O 2.18-2.19
In  0.5000  0.0000  0.5000  6 O 2.18-2.19
O  0.0390  0.3686  0.7382  1 Ta 2.01, 1 In 2.19
O  0.9610  0.6314  0.2618  1 Ta 2.01, 1 In 2.19
O  0.5390  0.6314  0.7618  1 Ta 2.01, 1 In 2.19
O  0.4610  0.3686  0.2382  1 Ta 2.01, 1 In 2.19
O  0.6891  0.8446  0.9464  1 Ta 2.00, 1 In 2.18
O  0.3109  0.1554  0.0536  1 Ta 2.00, 1 In 2.18
O  0.1891  0.1554  0.5536  1 Ta 2.00, 1 In 2.18
O  0.8109  0.8446  0.4464  1 Ta 2.00, 1 In 2.18
O  0.2115  0.7426  0.9414  1 Ta 2.01, 1 In 2.19
O  0.7885  0.2574  0.0586  1 Ta 2.01, 1 In 2.19
O  0.7115  0.2574  0.5586  1 Ta 2.01, 1 In 2.19
O  0.2885  0.7426  0.4414  1 Ta 2.01, 1 In 2.19

---

Copy entry 2 word for word.
The following is a PBE calculation of a relaxed structure of Ca2TaInO6, from the Materials Project database.

## Properties
ΔE_f in meV per atom: -3114
Total energy in eV per atom: -7.53
Total magnetization in μB/cell: 0.00

a b c (Å): 5.7758 5.5742 9.7576
angles (deg): 55.19 90.00 90.00
With the nearest neighbours (Å) after each atom.
Fractional coordinates of all 20 atoms:
Ca  0.4447  0.2356  0.7500  4 O 2.34-2.44
Ca  0.5553  0.7644  0.2500  4 O 2.34-2.44
Ca  0.9447  0.7644  0.7500  4 O 2.34-2.44
Ca  0.0553  0.2356  0.2500  4 O 2.34-2.44
Ta  0.0000  0.5000  0.5000  6 O 2.00-2.01
Ta  0.5000  0.5000  0.0000  6 O 2.00-2.01
In  0.0000  0.0000  0.0000  6 O 2.18-2.19
In  0.5000  0.0000  0.5000  6 O 2.18-2.19
O  0.0390  0.3686  0.7382  1 Ta 2.01, 1 In 2.19
O  0.9610  0.6314  0.2618  1 Ta 2.01, 1 In 2.19
O  0.5390  0.6314  0.7618  1 Ta 2.01, 1 In 2.19
O  0.4610  0.3686  0.2382  1 Ta 2.01, 1 In 2.19
O  0.6891  0.8446  0.9464  1 Ta 2.00, 1 In 2.18
O  0.3109  0.1554  0.0536  1 Ta 2.00, 1 In 2.18
O  0.1891  0.1554  0.5536  1 Ta 2.00, 1 In 2.18
O  0.8109  0.8446  0.4464  1 Ta 2.00, 1 In 2.18
O  0.2115  0.7426  0.9414  1 Ta 2.01, 1 In 2.19
O  0.7885  0.2574  0.0586  1 Ta 2.01, 1 In 2.19
O  0.7115  0.2574  0.5586  1 Ta 2.01, 1 In 2.19
O  0.2885  0.7426  0.4414  1 Ta 2.01, 1 In 2.19